[1]
VASP calculation (PBE) on Ga4GePb4S12 after structural relaxation.

Properties
Total moment (Bohr magnetons per cell): 0.00

a b c (Å): 12.846 12.846 6.213
angles (deg): 90.00 90.00 90.00
Space group P-42_1c (No. 114)
Unique sites:
Ga 0.148 0.236 0.048 [8 per cell]
Ge 0.000 0.000 0.000 [2 per cell]
Pb 0.009 0.685 0.590 [8 per cell]
S 0.019 0.360 0.035 [8 per cell]
S 0.093 0.905 0.764 [8 per cell]
S 0.191 0.204 0.694 [8 per cell]


[2]
VASP calculation (PBE) on GaGePt6 after structural relaxation.

a b c (Å): 5.585 5.585 7.950
angles (deg): 90.00 90.00 90.00
Space group I-42m (No. 121)
Unique sites:
Ga 0.000 0.000 0.000 [2 per cell]
Ge 0.000 0.000 0.500 [2 per cell]
Pt 0.000 0.500 0.000 [4 per cell]
Pt 0.206 0.206 0.745 [8 per cell]


[3]
VASP calculation (PBE) on Ga3GePt8 after structural relaxation.

Properties
Total moment (Bohr magnetons per cell): 0.00

a b c (Å): 5.587 4.126 8.002
angles (deg): 90.00 90.14 90.00
Space group Pm (No. 6)
Unique sites:
Ga 0.000 0.000 0.000 [1 per cell]
Ga 0.104 0.500 0.506 [1 per cell]
Ga 0.609 0.500 0.794 [1 per cell]
Ge 0.501 0.000 0.294 [1 per cell]
Pt 0.151 0.500 0.826 [1 per cell]
Pt 0.259 0.500 0.198 [1 per cell]
Pt 0.352 0.000 0.601 [1 per cell]
Pt 0.459 0.000 0.972 [1 per cell]
Pt 0.649 0.500 0.469 [1 per cell]
Pt 0.762 0.500 0.099 [1 per cell]
Pt 0.851 0.000 0.693 [1 per cell]
Pt 0.951 0.000 0.325 [1 per cell]


[4]
VASP calculation (PBE) on GaGeS4 after structural relaxation.

Properties
Relative energy among the computed polymorphs (meV/atom): 3.0
Total moment (Bohr magnetons per cell): 8.00

a b c (Å): 11.275 11.403 19.405
angles (deg): 90.00 90.00 90.00
Space group I2_12_12_1 (No. 24)
Unique sites:
Ga 0.092 0.124 0.190 [8 per cell]
Ge 0.127 0.343 0.061 [8 per cell]
S 0.000 0.250 0.265 [4 per cell]
S 0.000 0.250 0.988 [4 per cell]
S 0.038 0.482 0.123 [8 per cell]
S 0.211 0.000 0.250 [4 per cell]
S 0.233 0.218 0.124 [8 per cell]
S 0.250 0.457 0.000 [4 per cell]


[5]
VASP calculation (PBE) on GaGeS4 after structural relaxation.

Properties
Relative energy among the computed polymorphs (meV/atom): 1.0
Total moment (Bohr magnetons per cell): 16.00

a b c (Å): 16.073 16.179 19.441
angles (deg): 90.00 90.00 90.00
Space group Fdd2 (No. 43)
Unique sites:
Ga 0.018 0.391 0.000 [16 per cell]
Ge 0.109 0.017 0.630 [16 per cell]
S 0.000 0.000 0.426 [8 per cell]
S 0.000 0.000 0.702 [8 per cell]
S 0.023 0.270 0.940 [16 per cell]
S 0.099 0.132 0.566 [16 per cell]
S 0.116 0.155 0.816 [16 per cell]


[6]
VASP calculation (PBE) on Ga4GeS4 after structural relaxation.

Properties
Total moment (Bohr magnetons per cell): 0.01

a b c (Å): 11.637 11.637 11.637
angles (deg): 90.00 90.00 90.00
Space group Pa-3 (No. 205)
Unique sites:
Ga 0.038 0.066 0.276 [24 per cell]
Ga 0.223 0.723 0.777 [8 per cell]
Ge 0.100 0.600 0.900 [8 per cell]
S 0.081 0.081 0.081 [8 per cell]
S 0.083 0.247 0.837 [24 per cell]


[7]
VASP calculation (PBE) on GaGeS4 after structural relaxation.

Properties
Relative energy among the computed polymorphs (meV/atom): 0.0
Total moment (Bohr magnetons per cell): 8.44

a b c (Å): 16.037 16.050 12.431
angles (deg): 90.00 129.88 90.00
Space group Cc (No. 9)
Unique sites:
Ga 0.000 0.109 0.000 [4 per cell]
Ga 0.044 0.234 0.274 [4 per cell]
Ge 0.009 0.015 0.268 [4 per cell]
Ge 0.284 0.358 0.507 [4 per cell]
S 0.062 0.106 0.880 [4 per cell]
S 0.063 0.006 0.642 [4 per cell]
S 0.094 0.224 0.139 [4 per cell]
S 0.101 0.121 0.419 [4 per cell]
S 0.108 0.357 0.393 [4 per cell]
S 0.315 0.372 0.355 [4 per cell]
S 0.329 0.474 0.637 [4 per cell]
S 0.359 0.241 0.631 [4 per cell]


[8]
VASP calculation (PBE) on Ga2SnGeS6 after structural relaxation.

Properties
Total moment (Bohr magnetons per cell): 0.00

a b c (Å): 7.259 45.747 12.060
angles (deg): 90.00 90.00 90.00
Space group Fdd2 (No. 43)
Unique sites:
Ga 0.010 0.317 0.000 [16 per cell]
Ga 0.034 0.366 0.772 [16 per cell]
Sn 0.032 0.176 0.918 [16 per cell]
Ge 0.000 0.000 0.196 [8 per cell]
Ge 0.000 0.000 0.704 [8 per cell]
S 0.002 0.132 0.081 [16 per cell]
S 0.002 0.460 0.800 [16 per cell]
S 0.005 0.357 0.106 [16 per cell]
S 0.007 0.245 0.834 [16 per cell]
S 0.013 0.461 0.316 [16 per cell]
S 0.091 0.319 0.820 [16 per cell]


Looking at energy of formation from the pure elements for the records above, in order, we have -18.35 -3.07 -5.85 -3.45 -3.46 -7.04 -3.47 -7.86 eV/f.u..
Looking at VASP energy for the records above, in order, we have -187.1 -94.3 -68.1 -205.1 -410.4 -306.5 -205.2 -709.6 eV per cell.